# 1
Below is crystalline Bi8P6O27 at its relaxed geometry, with properties calculated at the PBE level.

Summary:
Formation energy = -1.67 eV/atom
Symmetry = P1
Magnetization = 0.000 μB per atom
Density = 5.446 g cm⁻³
Total DFT energy (no corrections) = -6.1780 eV/atom

Lattice parameters (Å, degrees): 7.582 8.667 22.716 82.89 86.49 70.54
Element x y z (fractional)
O1 0.047 0.642 0.272
O2 0.231 0.240 0.290
O3 0.320 0.811 0.501
O4 0.742 0.701 0.710
O5 0.605 0.777 0.570
O6 0.605 0.979 0.951
O7 0.679 0.458 0.329
O8 0.809 0.840 0.833
O9 0.186 0.889 0.092
O10 0.104 0.037 0.715
O11 0.493 0.450 0.742
O12 0.338 0.681 0.931
O13 0.520 0.180 0.211
O14 0.339 0.224 0.753
O15 0.401 0.128 0.047
O16 0.064 0.750 0.394
O17 0.020 0.411 0.387
O18 0.471 0.358 0.951
O19 0.624 0.901 0.438
O20 0.408 0.704 0.374
O21 0.022 0.564 0.602
O22 0.863 0.382 0.236
O23 0.621 0.732 0.053
O24 0.755 0.125 0.692
O25 0.828 0.939 0.284
O26 0.589 0.391 0.800
O27 0.171 0.867 0.295
O28 0.240 0.116 0.909
O29 0.413 0.194 0.448
O30 0.198 0.996 0.385
O31 0.037 0.668 0.130
O32 0.508 0.488 0.235
O33 0.892 0.134 0.923
O34 0.831 0.972 0.109
O35 0.902 0.347 0.714
O36 0.114 0.261 0.144
O37 0.363 0.751 0.673
O38 0.272 0.764 0.567
O39 0.779 0.414 0.075
O40 0.806 0.585 0.476
O41 0.580 0.267 0.595
O42 0.221 0.507 0.492
O43 0.437 0.534 0.038
O44 0.053 0.892 0.195
O45 0.136 0.525 0.774
O46 0.459 0.834 0.798
O47 0.934 0.206 0.618
O48 0.843 0.056 0.481
O49 0.811 0.186 0.862
O50 0.819 0.963 0.602
O51 0.675 0.536 0.970
O52 0.536 0.480 0.170
O53 0.767 0.130 0.421
O54 0.046 0.196 0.000
P1 0.026 0.846 0.125
P2 0.212 0.828 0.368
P3 0.690 0.535 0.261
P4 0.295 0.409 0.737
P5 0.640 0.562 0.042
P6 0.576 0.083 0.411
P7 0.400 0.889 0.553
P8 0.940 0.182 0.693
P9 0.014 0.825 0.261
P10 0.462 0.529 0.963
P11 0.046 0.243 0.924
P12 0.755 0.135 0.618
Bi1 0.633 0.565 0.657
Bi2 0.770 0.648 0.386
Bi3 0.282 0.454 0.402
Bi4 0.151 0.343 0.054
Bi5 0.494 0.031 0.290
Bi6 0.224 0.397 0.204
Bi7 0.731 0.641 0.812
Bi8 0.080 0.687 0.679
Bi9 0.974 0.228 0.340
Bi10 0.336 0.946 0.999
Bi11 0.683 0.117 0.008
Bi12 0.779 0.239 0.169
Bi13 0.600 0.066 0.851
Bi14 0.227 0.356 0.570
Bi15 0.430 0.947 0.713
Bi16 0.880 0.775 0.513

***

# 2
Below is crystalline Bi3P2O10 at its relaxed geometry, with properties calculated at the PBE level.

Summary:
Formation energy = -2.16 eV/atom
Symmetry = P-1
Magnetization = 0.067 μB per atom
Density = 6.917 g cm⁻³
Total DFT energy (no corrections) = -6.5050 eV/atom

Lattice parameters (Å, degrees): 6.963 7.130 9.338 111.90 106.77 91.12
Element x y z (fractional)
O1 0.790 0.124 0.317
O2 0.933 0.017 0.855
O3 0.868 0.620 0.838
O4 0.122 0.842 0.363
O5 0.132 0.380 0.162
O6 0.503 0.496 0.752
O7 0.104 0.481 0.638
O8 0.622 0.846 0.968
O9 0.271 0.446 0.956
O10 0.400 0.880 0.239
O11 0.878 0.158 0.637
O12 0.729 0.554 0.044
O13 0.896 0.519 0.362
O14 0.067 0.983 0.145
O15 0.302 0.190 0.440
O16 0.600 0.120 0.761
O17 0.210 0.876 0.683
O18 0.497 0.504 0.248
O19 0.698 0.810 0.560
O20 0.378 0.154 0.032
Bi1 0.193 0.826 0.903
Bi2 0.227 0.599 0.477
Bi3 0.271 0.230 0.699
Bi4 0.807 0.174 0.097
Bi5 0.773 0.401 0.523
Bi6 0.729 0.770 0.301
P1 0.314 0.369 0.097
P2 0.227 0.975 0.299
P3 0.773 0.025 0.701
P4 0.686 0.631 0.903

***

# 3
Below is crystalline BiP2O7 at its relaxed geometry, with properties calculated at the PBE level.

Summary:
Formation energy = -2.26 eV/atom
Symmetry = P2_1/c
Magnetization = 0.100 μB per atom
Density = 4.508 g cm⁻³
Total DFT energy (no corrections) = -6.7114 eV/atom

Lattice parameters (Å, degrees): 8.672 5.240 13.428 67.62 90.00 90.00
Element x y z (fractional)
Bi1 0.700 0.581 0.228
Bi2 0.800 0.581 0.728
Bi3 0.200 0.419 0.272
Bi4 0.300 0.419 0.772
O1 0.627 0.036 0.096
O2 0.331 0.461 0.949
O3 0.625 0.243 0.729
O4 0.373 0.964 0.904
O5 0.312 0.647 0.098
O6 0.873 0.036 0.596
O7 0.397 0.768 0.458
O8 0.103 0.768 0.958
O9 0.169 0.461 0.449
O10 0.134 0.165 0.162
O11 0.688 0.353 0.902
O12 0.566 0.788 0.705
O13 0.127 0.964 0.404
O14 0.125 0.757 0.771
O15 0.831 0.539 0.551
O16 0.866 0.835 0.838
O17 0.812 0.353 0.402
O18 0.375 0.757 0.271
O19 0.669 0.539 0.051
O20 0.066 0.212 0.795
O21 0.897 0.232 0.042
O22 0.188 0.647 0.598
O23 0.934 0.788 0.205
O24 0.634 0.835 0.338
O25 0.875 0.243 0.229
O26 0.434 0.212 0.295
O27 0.603 0.232 0.542
O28 0.366 0.165 0.662
P1 0.213 0.706 0.479
P2 0.962 0.105 0.165
P3 0.713 0.294 0.021
P4 0.787 0.294 0.521
P5 0.538 0.105 0.665
P6 0.462 0.895 0.335
P7 0.287 0.706 0.979
P8 0.038 0.895 0.835

***

# 4
Below is crystalline BiP2O7 at its relaxed geometry, with properties calculated at the PBE level.

Summary:
Formation energy = -2.30 eV/atom
Symmetry = P2_1/c
Magnetization = 0.000 μB per atom
Density = 3.946 g cm⁻³
Total DFT energy (no corrections) = -6.7588 eV/atom

Lattice parameters (Å, degrees): 8.851 7.639 10.182 69.43 90.00 90.00
Element x y z (fractional)
P1 0.745 0.925 0.458
P2 0.205 0.680 0.559
P3 0.255 0.075 0.542
P4 0.245 0.075 0.042
P5 0.795 0.320 0.441
P6 0.755 0.925 0.958
P7 0.705 0.320 0.941
P8 0.295 0.680 0.059
O1 0.191 0.682 0.408
O2 0.837 0.115 0.439
O3 0.359 0.200 0.080
O4 0.628 0.359 0.400
O5 0.711 0.831 0.615
O6 0.289 0.169 0.385
O7 0.309 0.682 0.908
O8 0.591 0.444 0.836
O9 0.604 0.973 0.365
O10 0.396 0.027 0.635
O11 0.691 0.318 0.092
O12 0.211 0.169 0.885
O13 0.872 0.359 0.900
O14 0.163 0.885 0.561
O15 0.663 0.115 0.939
O16 0.337 0.885 0.061
O17 0.789 0.831 0.115
O18 0.409 0.556 0.164
O19 0.091 0.556 0.664
O20 0.859 0.800 0.420
O21 0.896 0.973 0.865
O22 0.372 0.641 0.600
O23 0.809 0.318 0.592
O24 0.104 0.027 0.135
O25 0.909 0.444 0.336
O26 0.128 0.641 0.100
O27 0.141 0.200 0.580
O28 0.641 0.800 0.920
Bi1 0.506 0.739 0.752
Bi2 0.006 0.261 0.748
Bi3 0.494 0.261 0.248
Bi4 0.994 0.739 0.252

***

# 5
Below is crystalline BiP2O7 at its relaxed geometry, with properties calculated at the PBE level.

Summary:
Formation energy = -2.30 eV/atom
Symmetry = P2_1
Magnetization = 0.001 μB per atom
Density = 4.000 g cm⁻³
Total DFT energy (no corrections) = -6.7590 eV/atom

Lattice parameters (Å, degrees): 8.819 5.204 7.355 70.40 90.00 90.00
Element x y z (fractional)
O1 0.875 0.398 0.423
O2 0.238 0.042 0.133
O3 0.019 0.774 0.505
O4 0.851 0.132 0.113
O5 0.887 0.412 0.767
O6 0.519 0.226 0.495
O7 0.738 0.958 0.867
O8 0.375 0.602 0.577
O9 0.621 0.378 0.916
O10 0.121 0.622 0.084
O11 0.228 0.245 0.495
O12 0.351 0.868 0.887
O13 0.387 0.588 0.233
O14 0.728 0.755 0.505
Bi1 0.051 0.201 0.286
Bi2 0.551 0.799 0.714
P1 0.378 0.408 0.459
P2 0.878 0.592 0.541
P3 0.268 0.784 0.081
P4 0.768 0.216 0.919

***

# 6
Below is crystalline BiP2O7 at its relaxed geometry, with properties calculated at the PBE level.

Summary:
Formation energy = -2.29 eV/atom
Symmetry = P2_1/c
Magnetization = 0.000 μB per atom
Density = 4.222 g cm⁻³
Total DFT energy (no corrections) = -6.7441 eV/atom

Lattice parameters (Å, degrees): 8.861 7.179 9.842 74.22 90.00 90.00
Element x y z (fractional)
Bi1 0.769 0.718 0.994
Bi2 0.731 0.718 0.494
Bi3 0.231 0.282 0.006
Bi4 0.269 0.282 0.506
P1 0.916 0.444 0.793
P2 0.534 0.940 0.719
P3 0.966 0.940 0.219
P4 0.584 0.444 0.293
P5 0.466 0.060 0.281
P6 0.034 0.060 0.781
P7 0.416 0.556 0.707
P8 0.084 0.556 0.207
O1 0.721 0.478 0.378
O2 0.279 0.522 0.622
O3 0.067 0.475 0.859
O4 0.174 0.086 0.867
O5 0.545 0.866 0.338
O6 0.916 0.566 0.638
O7 0.955 0.866 0.838
O8 0.433 0.475 0.359
O9 0.826 0.914 0.133
O10 0.406 0.781 0.708
O11 0.045 0.134 0.162
O12 0.423 0.086 0.125
O13 0.594 0.219 0.292
O14 0.084 0.434 0.362
O15 0.933 0.525 0.141
O16 0.094 0.781 0.208
O17 0.326 0.086 0.367
O18 0.674 0.914 0.633
O19 0.221 0.522 0.122
O20 0.923 0.914 0.375
O21 0.577 0.914 0.875
O22 0.567 0.525 0.641
O23 0.584 0.566 0.138
O24 0.077 0.086 0.625
O25 0.906 0.219 0.792
O26 0.455 0.134 0.662
O27 0.416 0.434 0.862
O28 0.779 0.478 0.878

***

total DFT energy (no corrections) of number 3 (BiP2O7)? -6.7114 eV/atom